(1)
Material: Ca11Tl9O24
Method: DFT, PBE
State: optimized geometry

Cell lengths 11.3899, 6.7575, 16.8426 Å; angles 90.00, 90.15, 90.00 degrees
Fractional positions:
Ca (0.1036, 0.2500, 0.1414)
Ca (0.1055, 0.7500, 0.1449)
Ca (0.1340, 0.7500, 0.5413)
Ca (0.1346, 0.2500, 0.5409)
Ca (0.1690, 0.2500, 0.7759)
Ca (0.1689, 0.7500, 0.7764)
Ca (0.3311, 0.2500, 0.2753)
Ca (0.3648, 0.7500, 0.0397)
Ca (0.3664, 0.2500, 0.0407)
Ca (0.3909, 0.7500, 0.6478)
Ca (0.3932, 0.2500, 0.6479)
Ca (0.6068, 0.7500, 0.3521)
Ca (0.6091, 0.2500, 0.3522)
Ca (0.6336, 0.7500, 0.9593)
Ca (0.6352, 0.2500, 0.9603)
Ca (0.6689, 0.7500, 0.7247)
Ca (0.8311, 0.2500, 0.2236)
Ca (0.8310, 0.7500, 0.2241)
Ca (0.8654, 0.7500, 0.4591)
Ca (0.8660, 0.2500, 0.4587)
Ca (0.8945, 0.2500, 0.8551)
Ca (0.8964, 0.7500, 0.8586)
Tl (0.0830, 0.0006, 0.3538)
Tl (0.0830, 0.4994, 0.3538)
Tl (0.1349, 0.0003, 0.9546)
Tl (0.1349, 0.4997, 0.9546)
Tl (0.3301, 0.7500, 0.2734)
Tl (0.3651, 0.0007, 0.4562)
Tl (0.3651, 0.4993, 0.4562)
Tl (0.4142, 0.5013, 0.8524)
Tl (0.4142, 0.9987, 0.8524)
Tl (0.5858, 0.0013, 0.1476)
Tl (0.5858, 0.4987, 0.1476)
Tl (0.6349, 0.5007, 0.5438)
Tl (0.6349, 0.9993, 0.5438)
Tl (0.6699, 0.2500, 0.7266)
Tl (0.8651, 0.9997, 0.0454)
Tl (0.8651, 0.5003, 0.0454)
Tl (0.9170, 0.5006, 0.6462)
Tl (0.9170, 0.9994, 0.6462)
O (0.0000, 0.0000, 0.5000)
O (0.0003, 0.2500, 0.0008)
O (0.0000, 0.5000, 0.5000)
O (0.9997, 0.7500, 0.9992)
O (0.0436, 0.2500, 0.6659)
O (0.0444, 0.7500, 0.6662)
O (0.0491, 0.0000, 0.8395)
O (0.0491, 0.5000, 0.8395)
O (0.1943, 0.5040, 0.2412)
O (0.1943, 0.9960, 0.2412)
O (0.2191, 0.2500, 0.4056)
O (0.2196, 0.0006, 0.0696)
O (0.2196, 0.4994, 0.0696)
O (0.2215, 0.7500, 0.4036)
O (0.2792, 0.5007, 0.5706)
O (0.2792, 0.9993, 0.5706)
O (0.2797, 0.7500, 0.9064)
O (0.2821, 0.2500, 0.9057)
O (0.3064, 0.9998, 0.7400)
O (0.3064, 0.5002, 0.7400)
O (0.4482, 0.5024, 0.3392)
O (0.4482, 0.9976, 0.3392)
O (0.4535, 0.7500, 0.1672)
O (0.4566, 0.2500, 0.1665)
O (0.5000, 0.0000, 0.0000)
O (0.5005, 0.2500, 0.4988)
O (0.5000, 0.5000, 0.0000)
O (0.4995, 0.7500, 0.5012)
O (0.5434, 0.7500, 0.8335)
O (0.5465, 0.2500, 0.8328)
O (0.5518, 0.0024, 0.6608)
O (0.5518, 0.4976, 0.6608)
O (0.6936, 0.0002, 0.2600)
O (0.6936, 0.4998, 0.2600)
O (0.7179, 0.7500, 0.0943)
O (0.7203, 0.2500, 0.0936)
O (0.7208, 0.0007, 0.4294)
O (0.7208, 0.4993, 0.4294)
O (0.7785, 0.2500, 0.5964)
O (0.7804, 0.5006, 0.9304)
O (0.7804, 0.9994, 0.9304)
O (0.7809, 0.7500, 0.5944)
O (0.8057, 0.0040, 0.7588)
O (0.8057, 0.4960, 0.7588)
O (0.9509, 0.0000, 0.1605)
O (0.9509, 0.5000, 0.1605)
O (0.9556, 0.2500, 0.3338)
O (0.9564, 0.7500, 0.3341)

Calculated values
Its theoretical density is 6.83 g/cm3. For the uncorrected energy, the calculation gives -0.405 Ry/atom. For the spin magnetization, the calculation gives 0.000 μB per atom. The space-group type is P2_1/m, No. 11.

=====

(2)
Material: Ca2Tl2O5
Method: DFT, PBE
State: optimized geometry

Cell lengths 5.9168, 5.9168, 13.6847 Å; angles 90.00, 90.00, 146.59 degrees
Fractional positions:
Ca (0.0294, 0.9706, 0.5000)
Ca (0.2227, 0.7773, 0.1458)
Ca (0.7773, 0.2227, 0.6458)
Ca (0.9706, 0.0294, 0.0000)
Tl (0.2341, 0.7659, 0.8720)
Tl (0.4945, 0.5055, 0.2547)
Tl (0.5055, 0.4945, 0.7547)
Tl (0.7659, 0.2341, 0.3720)
O (0.1333, 0.8667, 0.3112)
O (0.1535, 0.8465, 0.7192)
O (0.3306, 0.6694, 0.0067)
O (0.4139, 0.5861, 0.4004)
O (0.4223, 0.5777, 0.6122)
O (0.5777, 0.4223, 0.1122)
O (0.5861, 0.4139, 0.9004)
O (0.6694, 0.3306, 0.5067)
O (0.8465, 0.1535, 0.2192)
O (0.8667, 0.1333, 0.8112)

Calculated values
Its theoretical density is 7.16 g/cm3. For the uncorrected energy, the calculation gives -0.399 Ry/atom. The space-group type is Cmc2_1, No. 36.

=====

(3)
Material: CaTmO3
Method: DFT, PBE
State: optimized geometry

Cell lengths 4.2721, 4.2721, 4.2721 Å; angles 90.00, 90.00, 90.00 degrees
Fractional positions:
Ca (0.0000, 0.0000, 0.0000)
Tm (0.5000, 0.5000, 0.5000)
O (0.0000, 0.5000, 0.5000)
O (0.5000, 0.0000, 0.5000)
O (0.5000, 0.5000, 0.0000)

Calculated values
Its theoretical density is 5.47 g/cm3. For the uncorrected energy, the calculation gives -0.501 Ry/atom. For the spin magnetization, the calculation gives 0.200 μB per atom. The space-group type is Pm-3m, No. 221.

=====

(4)
Material: Ca2UO5
Method: DFT, PBE
State: optimized geometry

Cell lengths 7.9766, 5.5059, 11.4909 Å; angles 90.00, 108.19, 90.00 degrees
Fractional positions:
Ca (0.1503, 0.0064, 0.3614)
Ca (0.1503, 0.4936, 0.8614)
Ca (0.3478, 0.5554, 0.1813)
Ca (0.3478, 0.9446, 0.6813)
Ca (0.6522, 0.0554, 0.3187)
Ca (0.6522, 0.4446, 0.8187)
Ca (0.8497, 0.5064, 0.1386)
Ca (0.8497, 0.9936, 0.6386)
U (0.0000, 0.0000, 0.0000)
U (0.0000, 0.5000, 0.5000)
U (0.5000, 0.0000, 0.0000)
U (0.5000, 0.5000, 0.5000)
O (0.0503, 0.6683, 0.6722)
O (0.0503, 0.8317, 0.1722)
O (0.1159, 0.1922, 0.5721)
O (0.1159, 0.3078, 0.0721)
O (0.2498, 0.6816, 0.5032)
O (0.2498, 0.8184, 0.0032)
O (0.3781, 0.2221, 0.8583)
O (0.3781, 0.2779, 0.3583)
O (0.4834, 0.7493, 0.8663)
O (0.4834, 0.7507, 0.3663)
O (0.5166, 0.2493, 0.6337)
O (0.5166, 0.2507, 0.1337)
O (0.6219, 0.7221, 0.6417)
O (0.6219, 0.7779, 0.1417)
O (0.7502, 0.1816, 0.9968)
O (0.7502, 0.3184, 0.4968)
O (0.8841, 0.6922, 0.9279)
O (0.8841, 0.8078, 0.4279)
O (0.9497, 0.1683, 0.8278)
O (0.9497, 0.3317, 0.3278)

Calculated values
Its theoretical density is 5.52 g/cm3. For the uncorrected energy, the calculation gives -0.603 Ry/atom. The space-group type is P2_1/c, No. 14.

=====

(5)
Material: CaU4O17
Method: DFT, PBE
State: optimized geometry

Cell lengths 8.2810, 8.8124, 11.8519 Å; angles 101.30, 94.54, 107.87 degrees
Fractional positions:
Ca (0.1386, 0.0949, 0.2632)
Ca (0.8614, 0.9051, 0.7368)
U (0.1417, 0.6942, 0.5723)
U (0.1917, 0.1724, 0.5926)
U (0.4390, 0.6095, 0.8298)
U (0.4492, 0.0182, 0.8415)
U (0.5508, 0.9818, 0.1585)
U (0.5610, 0.3905, 0.1702)
U (0.8083, 0.8276, 0.4074)
U (0.8583, 0.3058, 0.4277)
O (0.0063, 0.7112, 0.6899)
O (0.0164, 0.9499, 0.0249)
O (0.0622, 0.1509, 0.7140)
O (0.0725, 0.9001, 0.5271)
O (0.0844, 0.4308, 0.5576)
O (0.2342, 0.0022, 0.8738)
O (0.2390, 0.5081, 0.8798)
O (0.2678, 0.5878, 0.1357)
O (0.2845, 0.1854, 0.4543)
O (0.2893, 0.7012, 0.4659)
O (0.3259, 0.9534, 0.1864)
O (0.3305, 0.3009, 0.1900)
O (0.3624, 0.7619, 0.7285)
O (0.3695, 0.0816, 0.6871)
O (0.3779, 0.4162, 0.6918)
O (0.4168, 0.6196, 0.1136)
O (0.4672, 0.8369, 0.9541)
O (0.5328, 0.1631, 0.0459)
O (0.5832, 0.3804, 0.8864)
O (0.6221, 0.5838, 0.3082)
O (0.6305, 0.9184, 0.3129)
O (0.6376, 0.2381, 0.2715)
O (0.6695, 0.6991, 0.8100)
O (0.6741, 0.0466, 0.8136)
O (0.7107, 0.2988, 0.5341)
O (0.7155, 0.8146, 0.5457)
O (0.7322, 0.4122, 0.8643)
O (0.7610, 0.4919, 0.1202)
O (0.7658, 0.9978, 0.1262)
O (0.9156, 0.5692, 0.4424)
O (0.9275, 0.0999, 0.4729)
O (0.9378, 0.8491, 0.2860)
O (0.9836, 0.0501, 0.9751)
O (0.9937, 0.2888, 0.3101)

Calculated values
Its theoretical density is 5.26 g/cm3. For the uncorrected energy, the calculation gives -0.613 Ry/atom. For the spin magnetization, the calculation gives 0.182 μB per atom. The space-group type is P-1, No. 2.

=====

(6)
Material: CaY2O4
Method: DFT, PBE
State: optimized geometry

Cell lengths 6.8490, 6.8490, 6.8490 Å; angles 60.00, 60.00, 60.00 degrees
Fractional positions:
Ca (0.1250, 0.1250, 0.1250)
Ca (0.8750, 0.8750, 0.8750)
Y (0.0000, 0.5000, 0.5000)
Y (0.5000, 0.0000, 0.5000)
Y (0.5000, 0.5000, 0.0000)
Y (0.5000, 0.5000, 0.5000)
O (0.2627, 0.2627, 0.2627)
O (0.2627, 0.2627, 0.7120)
O (0.2627, 0.7120, 0.2627)
O (0.2880, 0.7373, 0.7373)
O (0.7120, 0.2627, 0.2627)
O (0.7373, 0.2880, 0.7373)
O (0.7373, 0.7373, 0.2880)
O (0.7373, 0.7373, 0.7373)

Calculated values
Its theoretical density is 4.12 g/cm3. For the uncorrected energy, the calculation gives -0.611 Ry/atom. For the spin magnetization, the calculation gives 0.000 μB per atom. For the energy above the most stable polymorph in this dataset, the calculation gives 0.0 kJ/mol of formula units. The space-group type is Fd-3m, No. 227.